Entry from the Materials Project: an optimized crystal structure of Cu10Sn3 (PBE).

- magnetization (μB/atom) = 0.0042
- calculated formation energy (eV per atom) = 0.01
- energy relative to the lowest polymorph listed for this composition (eV/f.u.) = 0.00

```
data_Cu10Sn3
_chemical_formula_sum 'Cu20 Sn6'
_space_group_name_H-M_alt 'P 63'
_space_group_IT_number 173
_cell_length_a 7.3617
_cell_length_b 7.3617
_cell_length_c 7.9347
_cell_angle_alpha 90.00
_cell_angle_beta 90.00
_cell_angle_gamma 120.00
loop_
_space_group_symop_operation_xyz
'x,y,z'
'x-y,x,z+1/2'
'-y,x-y,z'
'-x,-y,z+1/2'
'-x+y,-x,z'
'y,-x+y,z+1/2'
loop_
_atom_site_label
_atom_site_type_symbol
_atom_site_fract_x
_atom_site_fract_y
_atom_site_fract_z
Cu1 Cu 0.0000 0.0000 0.0000
Cu2 Cu 0.0277 0.6690 0.9254
Cu3 Cu 0.0278 0.6710 0.5927
Cu4 Cu 0.3333 0.6667 0.0861
Cu5 Cu 0.3333 0.6667 0.4319
Cu6 Cu 0.3333 0.6667 0.7587
Sn1 Sn 0.0231 0.7068 0.2587
```